No. 1
First-principles (PBE) data for crystalline CaSnHg at its relaxed geometry, as listed in the Materials Project.

Properties
The theoretical density is 7.326 g/cm3. Its formation energy from the elements is -0.515 eV/atom. As for the space group: P6_3mc, No. 186.

Cell: 4.904 4.904 7.822 Å, 90.00 90.00 120.00°
Fractional positions:
Ca 0.000 0.000 0.000
Ca 0.000 0.000 0.500
Sn 0.333 0.667 0.212
Sn 0.667 0.333 0.712
Hg 0.333 0.667 0.811
Hg 0.667 0.333 0.311

---

No. 2
First-principles (PBE) data for crystalline CaSnHg at its relaxed geometry, as listed in the Materials Project.

Properties
The theoretical density is 7.267 g/cm3. Its formation energy from the elements is -0.438 eV/atom. As for the space group: P-6m2, No. 187.

Cell: 4.991 4.991 3.807 Å, 90.00 90.00 120.00°
Fractional positions:
Ca 0.000 0.000 0.000
Sn 0.667 0.333 0.500
Hg 0.333 0.667 0.500

---

No. 3
First-principles (PBE) data for crystalline CaSnHg at its relaxed geometry, as listed in the Materials Project.

Properties
The theoretical density is 7.190 g/cm3. Its formation energy from the elements is -0.446 eV/atom. As for the space group: P6_3/mmc, No. 194.

Cell: 4.928 4.928 7.894 Å, 90.00 90.00 120.00°
Fractional positions:
Ca 0.000 0.000 0.000
Ca 0.000 0.000 0.500
Sn 0.333 0.667 0.250
Sn 0.667 0.333 0.750
Hg 0.333 0.667 0.750
Hg 0.667 0.333 0.250

---

No. 4
First-principles (PBE) data for crystalline SrCaHg2 at its relaxed geometry, as listed in the Materials Project.

Properties
The theoretical density is 7.276 g/cm3. Its formation energy from the elements is -0.523 eV/atom. As for the space group: Fm-3m, No. 225.

Cell: 5.547 5.547 5.547 Å, 60.00 60.00 60.00°
Fractional positions:
Sr 0.000 0.000 0.000
Ca 0.500 0.500 0.500
Hg 0.250 0.250 0.250
Hg 0.750 0.750 0.750

---

No. 5
First-principles (PBE) data for crystalline CaTbHg2 at its relaxed geometry, as listed in the Materials Project.

Properties
The theoretical density is 9.425 g/cm3. Its formation energy from the elements is -0.535 eV/atom. As for the space group: Fm-3m, No. 225.

Cell: 5.308 5.308 5.308 Å, 60.00 60.00 60.00°
Fractional positions:
Ca 0.000 0.000 0.000
Tb 0.500 0.500 0.500
Hg 0.250 0.250 0.250
Hg 0.750 0.750 0.750

---

No. 6
First-principles (PBE) data for crystalline CaHoO3 at its relaxed geometry, as listed in the Materials Project.

Properties
The theoretical density is 5.243 g/cm3. Its formation energy from the elements is -2.899 eV/atom. Its MP2020-corrected energy is -7.185 eV/atom. As for the space group: Pm-3m, No. 221.

Cell: 4.311 4.311 4.311 Å, 90.00 90.00 90.00°
Fractional positions:
Ca 0.000 0.000 0.000
Ho 0.500 0.500 0.500
O 0.000 0.500 0.500
O 0.500 0.000 0.500
O 0.500 0.500 0.000

---

No. 7
First-principles (PBE) data for crystalline CaHoSn2O6 at its relaxed geometry, as listed in the Materials Project.

Properties
The theoretical density is 6.630 g/cm3. Its formation energy from the elements is -2.712 eV/atom. Its MP2020-corrected energy is -7.142 eV/atom. As for the space group: Pmn2_1, No. 31.

Cell: 8.172 5.890 5.603 Å, 90.00 90.00 90.00°
Fractional positions:
Ca 0.000 0.202 0.000
Ca 0.500 0.798 0.500
Ho 0.000 0.681 0.536
Ho 0.500 0.319 0.036
Sn 0.250 0.244 0.511
Sn 0.250 0.756 0.011
Sn 0.750 0.244 0.511
Sn 0.750 0.756 0.011
O 0.000 0.314 0.393
O 0.000 0.804 0.153
O 0.181 0.458 0.805
O 0.184 0.932 0.687
O 0.316 0.068 0.187
O 0.319 0.542 0.305
O 0.500 0.196 0.653
O 0.500 0.686 0.893
O 0.681 0.542 0.305
O 0.684 0.068 0.187
O 0.816 0.932 0.687
O 0.819 0.458 0.805

---

No. 8
First-principles (PBE) data for crystalline Ca2HoTaO6 at its relaxed geometry, as listed in the Materials Project.

Properties
The theoretical density is 6.514 g/cm3. Its formation energy from the elements is -3.618 eV/atom. Its MP2020-corrected energy is -8.632 eV/atom. As for the space group: P2_1/c, No. 14.

Cell: 5.645 5.811 9.852 Å, 90.00 124.56 90.00°
Fractional positions:
Ca 0.235 0.051 0.246
Ca 0.235 0.449 0.746
Ca 0.765 0.551 0.254
Ca 0.765 0.949 0.754
Ho 0.500 0.000 0.000
Ho 0.500 0.500 0.500
Ta 0.000 0.000 0.500
Ta 0.000 0.500 0.000
O 0.119 0.207 0.945
O 0.119 0.293 0.445
O 0.232 0.682 0.942
O 0.232 0.818 0.442
O 0.343 0.040 0.735
O 0.343 0.460 0.235
O 0.657 0.540 0.765
O 0.657 0.960 0.265
O 0.768 0.182 0.558
O 0.768 0.318 0.058
O 0.881 0.707 0.555
O 0.881 0.793 0.055

---

No. 9
First-principles (PBE) data for crystalline CaI2 at its relaxed geometry, as listed in the Materials Project.

Properties
The theoretical density is 3.385 g/cm3. Its formation energy from the elements is -1.894 eV/atom. Its MP2020-corrected energy is -3.579 eV/atom. As for the space group: P-3m1, No. 164.

Cell: 4.545 4.545 8.057 Å, 90.00 90.00 120.00°
Fractional positions:
Ca 0.000 0.000 0.000
I 0.333 0.667 0.219
I 0.667 0.333 0.781

---

No. 10
First-principles (PBE) data for crystalline KCaI3 at its relaxed geometry, as listed in the Materials Project.

Properties
The theoretical density is 3.626 g/cm3. Its formation energy from the elements is -1.797 eV/atom. Its MP2020-corrected energy is -3.335 eV/atom. As for the space group: Cmcm, No. 63.

Cell: 8.072 8.072 11.750 Å, 90.00 90.00 146.62°
Fractional positions:
K 0.247 0.753 0.750
K 0.753 0.247 0.250
Ca 0.000 0.000 0.000
Ca 0.000 0.000 0.500
I 0.075 0.925 0.250
I 0.366 0.634 0.056
I 0.366 0.634 0.444
I 0.634 0.366 0.556
I 0.634 0.366 0.944
I 0.925 0.075 0.750